#A
VASP calculation (GGA-PBE) on an optimized crystal structure of LiSnP4O12.

```
data_LiSnP4O12
_chemical_formula_sum 'Li2 Sn2 P8 O24'
_cell_length_a 7.006
_cell_length_b 8.811
_cell_length_c 7.770
_cell_angle_alpha 90.00
_cell_angle_beta 90.52
_cell_angle_gamma 90.00
_symmetry_space_group_name_H-M 'P 1 21 1'
_symmetry_Int_Tables_number 4
loop_
_symmetry_equiv_pos_as_xyz
'x,y,z'
'-x,y+1/2,-z'
loop_
_atom_site_label
_atom_site_fract_x
_atom_site_fract_y
_atom_site_fract_z
Li1 0.204 0.000 0.139
Sn1 0.262 0.663 0.727
P1 0.057 0.002 0.594
P2 0.100 0.368 0.085
P3 0.415 0.194 0.613
P4 0.493 0.976 0.906
O1 0.041 0.415 0.909
O2 0.042 0.501 0.219
O3 0.045 0.213 0.155
O4 0.096 0.531 0.539
O5 0.173 0.860 0.566
O6 0.188 0.149 0.614
O7 0.318 0.875 0.906
O8 0.327 0.368 0.100
O9 0.444 0.340 0.701
O10 0.480 0.167 0.429
O11 0.486 0.556 0.276
O12 0.492 0.082 0.058
```


#B
VASP calculation (GGA-PBE) on an optimized crystal structure of LiSnP4O12.

```
data_LiSnP4O12
_chemical_formula_sum 'Li4 Sn4 P16 O48'
_cell_length_a 9.558
_cell_length_b 9.558
_cell_length_c 9.518
_cell_angle_alpha 90.00
_cell_angle_beta 90.00
_cell_angle_gamma 90.00
_symmetry_space_group_name_H-M 'P 42/n n m'
_symmetry_Int_Tables_number 134
loop_
_symmetry_equiv_pos_as_xyz
'x,y,z'
'-x,-y,-z'
'-y+1/2,x,z+1/2'
'y+1/2,-x,-z+1/2'
'-x+1/2,-y+1/2,z'
'x+1/2,y+1/2,-z'
'y,-x+1/2,z+1/2'
'-y,x+1/2,-z+1/2'
'x,-y+1/2,-z+1/2'
'-x,y+1/2,z+1/2'
'-y+1/2,-x+1/2,-z'
'y+1/2,x+1/2,z'
'-x+1/2,y,-z+1/2'
'x+1/2,-y,z+1/2'
'y,x,-z'
'-y,-x,z'
loop_
_atom_site_label
_atom_site_fract_x
_atom_site_fract_y
_atom_site_fract_z
Li1 0.000 0.000 0.000
Sn1 0.250 0.250 0.000
P1 0.027 0.750 0.250
P2 0.034 0.750 0.750
O1 0.043 0.177 0.132
O2 0.050 0.186 0.628
O3 0.134 0.634 0.317
O4 0.139 0.639 0.822
```


Q: Which of them is the least stable? A: #A.


#A
VASP calculation (GGA-PBE) on an optimized crystal structure of Mg5Si9.

```
data_Mg5Si9
_chemical_formula_sum 'Mg10 Si18'
_cell_length_a 6.516
_cell_length_b 7.398
_cell_length_c 12.158
_cell_angle_alpha 89.95
_cell_angle_beta 81.75
_cell_angle_gamma 66.80
_symmetry_space_group_name_H-M 'P 1'
_symmetry_Int_Tables_number 1
loop_
_symmetry_equiv_pos_as_xyz
'x,y,z'
loop_
_atom_site_label
_atom_site_fract_x
_atom_site_fract_y
_atom_site_fract_z
Mg1 0.000 0.000 0.000
Mg2 0.014 0.582 0.077
Mg3 0.046 0.330 0.849
Mg4 0.244 0.490 0.393
Mg5 0.313 0.756 0.564
Mg6 0.472 0.369 0.890
Mg7 0.629 0.789 0.937
Mg8 0.770 0.844 0.545
Mg9 0.877 0.044 0.740
Mg10 0.974 0.880 0.287
Si1 0.008 0.111 0.523
Si2 0.021 0.255 0.226
Si3 0.041 0.554 0.655
Si4 0.092 0.687 0.831
Si5 0.253 0.065 0.354
Si6 0.274 0.171 0.053
Si7 0.284 0.216 0.590
Si8 0.385 0.565 0.164
Si9 0.418 0.758 0.772
Si10 0.451 0.065 0.746
Si11 0.519 0.772 0.256
Si12 0.565 0.144 0.420
Si13 0.630 0.977 0.128
Si14 0.649 0.251 0.224
Si15 0.682 0.408 0.492
Si16 0.718 0.465 0.686
Si17 0.725 0.420 0.031
Si18 0.825 0.564 0.345
```


#B
VASP calculation (GGA-PBE) on an optimized crystal structure of Mg5Si9.

```
data_Mg5Si9
_chemical_formula_sum 'Mg10 Si18'
_cell_length_a 6.709
_cell_length_b 7.490
_cell_length_c 12.065
_cell_angle_alpha 84.00
_cell_angle_beta 82.32
_cell_angle_gamma 63.54
_symmetry_space_group_name_H-M 'P 1'
_symmetry_Int_Tables_number 1
loop_
_symmetry_equiv_pos_as_xyz
'x,y,z'
loop_
_atom_site_label
_atom_site_fract_x
_atom_site_fract_y
_atom_site_fract_z
Mg1 0.000 0.000 0.000
Mg2 0.031 0.224 0.218
Mg3 0.190 0.550 0.103
Mg4 0.247 0.241 0.582
Mg5 0.447 0.963 0.382
Mg6 0.492 0.000 0.022
Mg7 0.655 0.460 0.654
Mg8 0.706 0.481 0.055
Mg9 0.817 0.679 0.831
Mg10 0.908 0.570 0.438
Si1 0.011 0.236 0.792
Si2 0.070 0.875 0.388
Si3 0.121 0.324 0.954
Si4 0.145 0.721 0.696
Si5 0.253 0.597 0.516
Si6 0.301 0.822 0.208
Si7 0.316 0.907 0.750
Si8 0.354 0.334 0.299
Si9 0.364 0.445 0.843
Si10 0.398 0.710 0.926
Si11 0.586 0.421 0.395
Si12 0.589 0.858 0.593
Si13 0.648 0.163 0.158
Si14 0.689 0.633 0.249
Si15 0.709 0.134 0.824
Si16 0.804 0.011 0.640
Si17 0.887 0.845 0.236
Si18 0.913 0.185 0.483
```


Q: Which of them is the least stable? A: #A.


#A
VASP calculation (GGA-PBE) on an optimized crystal structure of Sb.

```
data_Sb
_chemical_formula_sum 'Sb14'
_cell_length_a 6.846
_cell_length_b 8.640
_cell_length_c 8.873
_cell_angle_alpha 113.83
_cell_angle_beta 92.13
_cell_angle_gamma 102.62
_symmetry_space_group_name_H-M 'P -1'
_symmetry_Int_Tables_number 2
loop_
_symmetry_equiv_pos_as_xyz
'x,y,z'
'-x,-y,-z'
loop_
_atom_site_label
_atom_site_fract_x
_atom_site_fract_y
_atom_site_fract_z
Sb1 0.000 0.000 0.000
Sb2 0.000 0.500 0.000
Sb3 0.160 0.191 0.542
Sb4 0.192 0.648 0.368
Sb5 0.274 0.251 0.886
Sb6 0.315 0.809 0.754
Sb7 0.327 0.850 0.113
Sb8 0.500 0.000 0.500
Sb9 0.500 0.500 0.500
```


#B
VASP calculation (GGA-PBE) on an optimized crystal structure of Sb.

```
data_Sb
_chemical_formula_sum 'Sb14'
_cell_length_a 6.540
_cell_length_b 9.033
_cell_length_c 9.069
_cell_angle_alpha 98.34
_cell_angle_beta 109.19
_cell_angle_gamma 103.63
_symmetry_space_group_name_H-M 'P -1'
_symmetry_Int_Tables_number 2
loop_
_symmetry_equiv_pos_as_xyz
'x,y,z'
'-x,-y,-z'
loop_
_atom_site_label
_atom_site_fract_x
_atom_site_fract_y
_atom_site_fract_z
Sb1 0.000 0.000 0.000
Sb2 0.000 0.500 0.500
Sb3 0.010 0.330 0.983
Sb4 0.058 0.177 0.330
Sb5 0.193 0.275 0.690
Sb6 0.301 0.664 0.332
Sb7 0.406 0.042 0.826
Sb8 0.500 0.000 0.500
Sb9 0.500 0.500 0.000
```


#C
VASP calculation (GGA-PBE) on an optimized crystal structure of Sb.

```
data_Sb
_chemical_formula_sum 'Sb2'
_cell_length_a 3.165
_cell_length_b 4.344
_cell_length_c 4.408
_cell_angle_alpha 90.00
_cell_angle_beta 91.66
_cell_angle_gamma 90.00
_symmetry_space_group_name_H-M 'P 1 21/m 1'
_symmetry_Int_Tables_number 11
loop_
_symmetry_equiv_pos_as_xyz
'x,y,z'
'-x,-y,-z'
'-x,y+1/2,-z'
'x,-y+1/2,z'
loop_
_atom_site_label
_atom_site_fract_x
_atom_site_fract_y
_atom_site_fract_z
Sb1 0.043 0.250 0.236
```


Q: Which of them is the least stable? A: #B.


#A
VASP calculation (GGA-PBE) on an optimized crystal structure of BaEuYSnO6.

```
data_BaEuYSnO6
_chemical_formula_sum 'Ba4 Eu4 Y4 Sn4 O24'
_cell_length_a 8.447
_cell_length_b 8.523
_cell_length_c 8.588
_cell_angle_alpha 90.00
_cell_angle_beta 90.00
_cell_angle_gamma 90.00
_symmetry_space_group_name_H-M 'P n n n'
_symmetry_Int_Tables_number 48
loop_
_symmetry_equiv_pos_as_xyz
'x,y,z'
'-x,-y,-z'
'-x+1/2,-y+1/2,z'
'x+1/2,y+1/2,-z'
'x,-y+1/2,-z+1/2'
'-x,y+1/2,z+1/2'
'-x+1/2,y,-z+1/2'
'x+1/2,-y,z+1/2'
loop_
_atom_site_label
_atom_site_fract_x
_atom_site_fract_y
_atom_site_fract_z
Ba1 0.250 0.250 0.250
Ba2 0.250 0.750 0.250
Eu1 0.250 0.250 0.750
Eu2 0.250 0.750 0.750
Y1 0.000 0.000 0.000
Sn1 0.000 0.000 0.500
O1 0.046 0.052 0.741
O2 0.051 0.741 0.952
O3 0.240 0.032 0.469
```


#B
VASP calculation (GGA-PBE) on an optimized crystal structure of BaEuYSnO6.

```
data_BaEuYSnO6
_chemical_formula_sum 'Ba4 Eu4 Y4 Sn4 O24'
_cell_length_a 8.525
_cell_length_b 8.525
_cell_length_c 8.525
_cell_angle_alpha 90.00
_cell_angle_beta 90.00
_cell_angle_gamma 90.00
_symmetry_space_group_name_H-M 'F -4 3 m'
_symmetry_Int_Tables_number 216
_symmetry_space_group_name_Hall 'F -4 2 3'
loop_
_atom_site_label
_atom_site_fract_x
_atom_site_fract_y
_atom_site_fract_z
Ba1 0.000 0.000 0.000
Eu1 0.000 0.000 0.500
Y1 0.250 0.250 0.250
Sn1 0.250 0.250 0.750
O1 0.008 0.250 0.750
```


Q: Which of them is the least stable? A: #B.